Computed, not measured: an optimized crystal structure of Sr3MgMn4O12 at the GGA+U level of DFT.

Computed properties:
formation enthalpy at 0 K = -2.226 eV/atom
total energy after the MP2020 corrections = -147.21 eV/cell

The structure in extended XYZ format:
```
20
Lattice="5.579 0.000 0.000 -2.787 4.937 0.000 -0.004 -0.327 9.559" Properties=species:S:1:pos:R:3 pbc="T T T"
Sr 0.000 0.000 0.000
Sr -0.005 2.030 3.382
Sr 2.786 0.537 5.620
Mg 2.787 2.819 1.754
Mn 2.787 0.259 1.899
Mn 2.785 0.692 8.779
Mn 2.786 3.659 4.164
Mn 2.788 3.885 6.744
O -0.009 0.299 5.127
O -1.534 3.121 5.460
O -1.460 4.087 2.668
O 1.367 0.156 7.626
O 1.578 1.489 0.939
O 0.002 4.326 0.243
O 1.534 3.114 5.463
O 1.449 4.079 2.673
O 2.786 1.694 3.392
O 2.793 2.569 8.092
O 4.202 0.151 7.627
O 4.004 1.486 0.949
```

Computed, not measured: an optimized crystal structure of Li2VF6 at the GGA+U level of DFT.

Computed properties:
formation enthalpy at 0 K = -3.111 eV/atom
total energy after the MP2020 corrections = -104.77 eV/cell

The structure in extended XYZ format:
```
18
Lattice="5.200 0.000 0.000 0.000 5.230 0.000 -5.154 0.000 7.639" Properties=species:S:1:pos:R:3 pbc="T T T"
Li 0.000 1.080 0.000
Li -2.577 4.150 3.819
Li 2.645 1.369 2.078
Li 0.068 3.862 5.898
V -2.516 1.307 5.922
V 0.061 3.923 2.102
F -4.157 2.225 6.368
F -1.580 3.005 2.549
F -0.845 0.189 2.617
F -3.422 5.041 6.436
F 0.785 2.313 1.531
F -1.792 2.917 5.351
F -0.934 0.341 5.613
F 1.643 4.890 1.793
F 3.306 1.612 0.051
F 0.729 3.618 3.871
F 2.188 0.897 4.137
F 4.765 4.334 0.318
```

| no. | theoretical density (g/cm3) |
| --- | --- |
| 1 | 4.407 |
| 2 | 2.858 |